[1]
Here is an optimized crystal structure of Mg2SiPt from the Materials Project. Energies are from meta-GGA r2SCAN.

- Size of the total moment: 0.00 μB per formula unit
- VASP energy: -17.820 eV per atom
- Symmetry: P6_3/mmc (194)

Structure (POSCAR):
```
Mg2SiPt
1.0
4.2685 0.0000 0.0000
-2.1343 3.6967 0.0000
0.0000 0.0000 8.5111
Mg Si Pt
4 2 2
Cartesian
0.0000 2.4644 4.9877
2.1343 1.2322 0.7322
2.1343 1.2322 3.5233
0.0000 2.4644 7.7789
0.0000 0.0000 6.3833
0.0000 0.0000 2.1278
2.1343 1.2322 6.3833
0.0000 2.4644 2.1278
```

---

[2]
Here is an optimized crystal structure of Mg5Si16Pt10 from the Materials Project. Energies are from meta-GGA r2SCAN.

- Size of the total moment: 0.00 μB per formula unit
- VASP energy: -22.438 eV per atom
- Symmetry: F-43m (216)

Structure (POSCAR):
```
Mg5Si16Pt10
1.0
0.0000 6.3020 6.3020
6.3020 0.0000 6.3020
6.3020 6.3020 0.0000
Mg Si Pt
5 16 10
Cartesian
4.3388 4.3388 4.3388
4.3391 8.2652 8.2652
8.2652 4.3391 8.2652
8.2652 8.2652 4.3391
12.6040 12.6040 12.6040
12.0463 10.2914 10.2914
5.3926 5.3926 7.2114
5.3926 7.2114 5.3926
7.2114 5.3926 5.3926
7.2115 7.2115 7.2115
12.0463 8.6147 8.6147
10.2914 6.8598 8.6147
10.2914 8.6147 6.8598
8.6147 8.6147 12.0463
8.6147 12.0463 8.6147
10.2914 10.2914 12.0463
8.6147 6.8598 10.2914
10.2914 12.0463 10.2914
6.8598 10.2914 8.6147
8.6147 10.2914 6.8598
6.8598 8.6147 10.2914
1.5960 1.5960 1.5960
6.3020 6.3020 9.2263
6.3020 6.3020 3.3777
6.3020 9.2263 6.3020
9.2263 6.3020 6.3020
3.3777 6.3020 6.3020
6.3020 3.3777 6.3020
4.7061 4.7061 1.5960
4.7061 1.5960 4.7061
1.5960 4.7061 4.7061
```

---

[3]
Here is an optimized crystal structure of SmMgPt from the Materials Project. Energies are from meta-GGA r2SCAN.

- Size of the total moment: 0.00 μB per formula unit
- VASP energy: -29.452 eV per atom
- Symmetry: P-62m (189)

Structure (POSCAR):
```
SmMgPt
1.0
7.4466 0.0000 0.0000
-3.7233 6.4489 0.0000
0.0000 0.0000 4.1146
Sm Mg Pt
3 3 3
Cartesian
2.1914 3.7956 0.0000
3.0638 0.0000 0.0000
-1.5319 2.6533 0.0000
-2.8239 4.8911 2.0573
0.8994 1.5579 2.0573
5.6477 0.0000 2.0573
0.0000 0.0000 0.0000
0.0000 4.2993 2.0573
3.7233 2.1496 2.0573
```

---

[4]
Here is an optimized crystal structure of Yb7MgPt4 from the Materials Project. Energies are from meta-GGA r2SCAN.

- Size of the total moment: 0.00 μB per formula unit
- VASP energy: -39.915 eV per atom
- Symmetry: Pm (6)

Structure (POSCAR):
```
Yb7MgPt4
1.0
4.5544 0.0000 0.0000
0.0000 7.0042 0.1733
0.0000 0.2546 8.5396
Yb Mg Pt
7 1 4
Cartesian
2.2772 3.9340 7.1164
2.2772 7.1245 5.7502
0.0000 3.5021 1.5999
0.0000 6.8571 3.0542
2.2772 1.0652 0.6751
0.0000 2.5750 4.9336
0.0000 6.3490 8.0413
2.2772 4.5763 3.7499
2.2772 5.2727 0.9891
2.2772 1.7848 3.3813
0.0000 2.1676 7.7706
0.0000 5.3486 5.3890
```

---

[5]
Here is an optimized crystal structure of MgRh from the Materials Project. Energies are from meta-GGA r2SCAN.

- Size of the total moment: 0.00 μB per formula unit
- VASP energy: -14.616 eV per atom
- Symmetry: Pm-3m (221)

Structure (POSCAR):
```
MgRh
1.0
3.0869 0.0000 0.0000
0.0000 3.0869 0.0000
0.0000 0.0000 3.0869
Mg Rh
1 1
Cartesian
0.0000 0.0000 0.0000
1.5434 1.5434 1.5434
```

---

[6]
Here is an optimized crystal structure of Mg3Rh from the Materials Project. Energies are from meta-GGA r2SCAN.

- Size of the total moment: 0.00 μB per formula unit
- VASP energy: -9.494 eV per atom
- Symmetry: P6_3cm (185)

Structure (POSCAR):
```
Mg3Rh
1.0
7.8833 0.0000 0.0000
-3.9416 6.8271 0.0000
0.0000 0.0000 8.2071
Mg Rh
18 6
Cartesian
0.0000 0.0000 2.5887
0.0000 0.0000 6.6922
0.0000 4.5514 1.6651
3.9416 2.2757 5.7686
0.0000 4.5514 5.7686
3.9416 2.2757 1.6651
1.1167 1.9342 4.7380
-1.1167 1.9342 0.6345
2.2335 0.0000 0.6345
5.6498 0.0000 4.7380
-2.8249 4.8929 4.7380
2.8249 4.8929 0.6345
2.4629 4.2658 3.4425
-2.4629 4.2658 7.5461
4.9257 0.0000 7.5461
2.9576 0.0000 3.4425
-1.4788 2.5613 3.4425
1.4788 2.5613 7.5461
1.2906 2.2354 2.0327
-1.2906 2.2354 6.1363
2.5812 0.0000 6.1363
5.3020 0.0000 2.0327
-2.6510 4.5917 2.0327
2.6510 4.5917 6.1363
```

---

DFT formation energy / eV/atom: -0.670; -0.629; -0.989; -1.096; -0.463; -0.333